DFT (r²SCAN) results for a relaxed LuCrO4 crystal.

**Mass density**: 6.5 g cm⁻³
**DFT formation energy**: -2.86 eV/atom
**V**: 12.4 A^3/atom
**Magnetization**: 4.0 Bohr magnetons per cell

CIF file:
```
data_LuCrO4
_chemical_formula_sum 'Lu4 Cr4 O16'
_cell_length_a 6.950
_cell_length_b 6.950
_cell_length_c 6.161
_cell_angle_alpha 90.00
_cell_angle_beta 90.00
_cell_angle_gamma 90.00
_space_group_name_H-M_alt 'I 41 2 2'
_space_group_IT_number 98
_space_group_name_Hall 'I 4bw 2bw'
loop_
_atom_site_label
_atom_site_fract_x
_atom_site_fract_y
_atom_site_fract_z
_atom_site_occupancy
Lu1 0.000 0.000 0.000 1
Cr1 0.000 0.000 0.500 1
O1 0.004 0.687 0.927 1
```

***

DFT (r²SCAN) results for a relaxed LuCrO3 crystal.

**Mass density**: 8.7 g cm⁻³
**DFT formation energy**: -3.27 eV/atom
**V**: 10.5 A^3/atom
**Magnetization**: 12.0 Bohr magnetons per cell

CIF file:
```
data_LuCrO3
_chemical_formula_sum 'Lu4 Cr4 O12'
_cell_length_a 5.485
_cell_length_b 7.457
_cell_length_c 5.135
_cell_angle_alpha 90.00
_cell_angle_beta 90.00
_cell_angle_gamma 90.00
_space_group_name_H-M_alt 'P n m a'
_space_group_IT_number 62
_space_group_name_Hall '-P 2ac 2n'
loop_
_atom_site_label
_atom_site_fract_x
_atom_site_fract_y
_atom_site_fract_z
_atom_site_occupancy
Lu1 0.074 0.250 0.022 1
Cr1 0.000 0.000 0.500 1
O1 0.047 0.750 0.377 1
O2 0.193 0.562 0.813 1
```

***

DFT (r²SCAN) results for a relaxed Lu3CrS6 crystal.

**Mass density**: 6.8 g cm⁻³
**DFT formation energy**: -1.94 eV/atom
**V**: 18.9 A^3/atom
**Magnetization**: 4.0 Bohr magnetons per cell

CIF file:
```
data_Lu3CrS6
_chemical_formula_sum 'Lu12 Cr4 S24'
_cell_length_a 13.086
_cell_length_b 15.658
_cell_length_c 3.683
_cell_angle_alpha 90.00
_cell_angle_beta 90.00
_cell_angle_gamma 90.00
_space_group_name_H-M_alt 'P n n m'
_space_group_IT_number 58
_space_group_name_Hall '-P 2 2n'
loop_
_atom_site_label
_atom_site_fract_x
_atom_site_fract_y
_atom_site_fract_z
_atom_site_occupancy
Lu1 0.048 0.222 0.000 1
Lu2 0.182 0.647 0.000 1
Lu3 0.242 0.900 0.500 1
Cr1 0.000 0.000 0.500 1
Cr2 0.000 0.500 0.500 1
S1 0.019 0.400 0.000 1
S2 0.084 0.924 0.000 1
S3 0.105 0.753 0.500 1
S4 0.119 0.110 0.500 1
S5 0.183 0.520 0.500 1
S6 0.189 0.290 0.500 1
```

***

DFT (r²SCAN) results for a relaxed MgCrN2 crystal.

**Mass density**: 3.7 g cm⁻³
**DFT formation energy**: -0.83 eV/atom
**V**: 11.7 A^3/atom
**Magnetization**: 8.0 Bohr magnetons per cell

CIF file:
```
data_MgCrN2
_chemical_formula_sum 'Mg4 Cr4 N8'
_cell_length_a 5.630
_cell_length_b 6.557
_cell_length_c 5.066
_cell_angle_alpha 90.00
_cell_angle_beta 90.00
_cell_angle_gamma 90.00
_space_group_name_H-M_alt 'P n a 21'
_space_group_IT_number 33
_space_group_name_Hall 'P 2c -2n'
loop_
_atom_site_label
_atom_site_fract_x
_atom_site_fract_y
_atom_site_fract_z
_atom_site_occupancy
Mg1 0.090 0.122 0.000 1
Cr1 0.074 0.628 0.009 1
N1 0.061 0.606 0.374 1
N2 0.103 0.144 0.418 1
```

***

DFT (r²SCAN) results for a relaxed MgCrO2 crystal.

**Mass density**: 4.3 g cm⁻³
**DFT formation energy**: -2.33 eV/atom
**V**: 10.5 A^3/atom
**Magnetization**: 16.0 Bohr magnetons per cell

CIF file:
```
data_MgCrO2
_chemical_formula_sum 'Mg4 Cr4 O8'
_cell_length_a 7.512
_cell_length_b 2.917
_cell_length_c 7.754
_cell_angle_alpha 90.00
_cell_angle_beta 97.74
_cell_angle_gamma 90.00
_space_group_name_H-M_alt 'P 1 21/m 1'
_space_group_IT_number 11
_space_group_name_Hall '-P 2yb'
loop_
_atom_site_label
_atom_site_fract_x
_atom_site_fract_y
_atom_site_fract_z
_atom_site_occupancy
Mg1 0.040 0.250 0.169 1
Mg2 0.316 0.250 0.935 1
Cr1 0.190 0.750 0.563 1
Cr2 0.401 0.750 0.282 1
O1 0.114 0.250 0.718 1
O2 0.169 0.750 0.044 1
O3 0.250 0.250 0.389 1
O4 0.478 0.750 0.838 1
```

***

DFT (r²SCAN) results for a relaxed MgCr4S8 crystal.

**Mass density**: 3.3 g cm⁻³
**DFT formation energy**: -0.97 eV/atom
**V**: 18.8 A^3/atom
**Magnetization**: 20.0 Bohr magnetons per cell

CIF file:
```
data_MgCr4S8
_chemical_formula_sum 'Mg2 Cr8 S16'
_cell_length_a 12.145
_cell_length_b 7.014
_cell_length_c 7.017
_cell_angle_alpha 90.00
_cell_angle_beta 125.22
_cell_angle_gamma 90.00
_space_group_name_H-M_alt 'C 1 m 1'
_space_group_IT_number 8
_space_group_name_Hall 'C -2y'
loop_
_atom_site_label
_atom_site_fract_x
_atom_site_fract_y
_atom_site_fract_z
_atom_site_occupancy
Mg1 0.000 0.000 0.000 1
Cr1 0.118 0.500 0.383 1
Cr2 0.119 0.500 0.857 1
Cr3 0.382 0.237 0.382 1
S1 0.120 0.260 0.621 1
S2 0.138 0.277 0.140 1
S3 0.361 0.500 0.585 1
S4 0.362 0.500 0.139 1
S5 0.380 0.000 0.141 1
S6 0.381 0.000 0.621 1
```

***

DFT (r²SCAN) results for a relaxed MgCr4S8 crystal.

**Mass density**: 3.3 g cm⁻³
**DFT formation energy**: -0.97 eV/atom
**V**: 18.6 A^3/atom
**Magnetization**: 30.0 Bohr magnetons per cell

CIF file:
```
data_MgCr4S8
_chemical_formula_sum 'Mg3 Cr12 S24'
_cell_length_a 6.8228
_cell_length_b 6.8228
_cell_length_c 18.0308
_cell_angle_alpha 90.00
_cell_angle_beta 90.00
_cell_angle_gamma 120.00
_space_group_name_H-M_alt 'R -3 m'
_space_group_IT_number 166
_space_group_name_Hall '-R 3 2"'
loop_
_atom_site_label
_atom_site_fract_x
_atom_site_fract_y
_atom_site_fract_z
_atom_site_occupancy
Mg1 0.0000 0.0000 0.0000 1
Cr1 0.0000 0.0000 0.5000 1
Cr2 0.0000 0.5000 0.5000 1
S1 0.0000 0.0000 0.2406 1
S2 0.9997 0.4999 0.2416 1
```

***

DFT (r²SCAN) results for a relaxed Mg6TiCr crystal.

**Mass density**: 2.5 g cm⁻³
**DFT formation energy**: 0.14 eV/atom
**V**: 20.6 A^3/atom
**Magnetization**: 3.5 Bohr magnetons per cell

CIF file:
```
data_Mg6TiCr
_chemical_formula_sum 'Mg12 Ti2 Cr2'
_cell_length_a 4.780
_cell_length_b 7.256
_cell_length_c 9.495
_cell_angle_alpha 90.00
_cell_angle_beta 90.00
_cell_angle_gamma 90.00
_space_group_name_H-M_alt 'A m m 2'
_space_group_IT_number 38
_space_group_name_Hall 'A 2 -2'
loop_
_atom_site_label
_atom_site_fract_x
_atom_site_fract_y
_atom_site_fract_z
_atom_site_occupancy
Mg1 0.000 0.000 0.000 1
Mg2 0.000 0.000 0.478 1
Mg3 0.000 0.233 0.740 1
Mg4 0.500 0.249 0.490 1
Ti1 0.500 0.000 0.240 1
Cr1 0.500 0.000 0.741 1
```

***

DFT (r²SCAN) results for a relaxed Mn3Cr3O8 crystal.

**Mass density**: 4.9 g cm⁻³
**DFT formation energy**: -2.30 eV/atom
**V**: 10.8 A^3/atom
**Magnetization**: 40.0 Bohr magnetons per cell

CIF file:
```
data_Mn3Cr3O8
_chemical_formula_sum 'Mn12 Cr12 O32'
_cell_length_a 10.418
_cell_length_b 5.969
_cell_length_c 10.405
_cell_angle_alpha 90.00
_cell_angle_beta 111.18
_cell_angle_gamma 90.00
_space_group_name_H-M_alt 'C 1 m 1'
_space_group_IT_number 8
_space_group_name_Hall 'C -2y'
loop_
_atom_site_label
_atom_site_fract_x
_atom_site_fract_y
_atom_site_fract_z
_atom_site_occupancy
Mn1 0.000 0.000 0.000 1
Mn2 0.000 0.500 0.499 1
Mn3 0.133 0.000 0.373 1
Mn4 0.133 0.500 0.872 1
Mn5 0.316 0.000 0.936 1
Mn6 0.316 0.500 0.436 1
Cr1 0.066 0.000 0.686 1
Cr2 0.066 0.500 0.186 1
Cr3 0.316 0.250 0.186 1
Cr4 0.317 0.250 0.686 1
O1 0.194 0.500 0.082 1
O2 0.195 0.000 0.582 1
O3 0.202 0.279 0.306 1
O4 0.203 0.220 0.806 1
O5 0.204 0.000 0.077 1
O6 0.205 0.500 0.579 1
O7 0.428 0.000 0.795 1
O8 0.428 0.500 0.296 1
O9 0.430 0.221 0.065 1
O10 0.430 0.279 0.566 1
O11 0.438 0.000 0.291 1
O12 0.439 0.500 0.791 1
```

***

DFT (r²SCAN) results for a relaxed Mn2CrO4 crystal.

**Mass density**: 4.9 g cm⁻³
**DFT formation energy**: -2.23 eV/atom
**V**: 11.0 A^3/atom
**Magnetization**: 48.0 Bohr magnetons per cell

CIF file:
```
data_Mn2CrO4
_chemical_formula_sum 'Mn8 Cr4 O16'
_cell_length_a 8.291
_cell_length_b 8.415
_cell_length_c 6.004
_cell_angle_alpha 90.00
_cell_angle_beta 132.80
_cell_angle_gamma 90.00
_space_group_name_H-M_alt 'C 1 2/c 1'
_space_group_IT_number 15
_space_group_name_Hall '-C 2yc'
loop_
_atom_site_label
_atom_site_fract_x
_atom_site_fract_y
_atom_site_fract_z
_atom_site_occupancy
Mn1 0.000 0.120 0.250 1
Mn2 0.250 0.250 0.000 1
Cr1 0.000 0.500 0.000 1
O1 0.020 0.265 0.002 1
O2 0.221 0.486 0.956 1
```

***

DFT (r²SCAN) results for a relaxed Mn2CrO4 crystal.

**Mass density**: 4.9 g cm⁻³
**DFT formation energy**: -2.23 eV/atom
**V**: 11.0 A^3/atom
**Magnetization**: 48.0 Bohr magnetons per cell

CIF file:
```
data_Mn2CrO4
_chemical_formula_sum 'Mn8 Cr4 O16'
_cell_length_a 5.938
_cell_length_b 5.964
_cell_length_c 10.365
_cell_angle_alpha 75.45
_cell_angle_beta 74.33
_cell_angle_gamma 61.36
_space_group_name_H-M_alt 'P -1'
_space_group_IT_number 2
_space_group_name_Hall '-P 1'
loop_
_atom_site_label
_atom_site_fract_x
_atom_site_fract_y
_atom_site_fract_z
_atom_site_occupancy
Mn1 0.000 0.000 0.000 1
Mn2 0.000 0.000 0.500 1
Mn3 0.065 0.564 0.310 1
Mn4 0.264 0.736 0.750 1
Mn5 0.424 0.946 0.190 1
Cr1 0.000 0.500 0.000 1
Cr2 0.500 0.000 0.500 1
Cr3 0.500 0.500 0.000 1
Cr4 0.500 0.500 0.500 1
O1 0.078 0.156 0.120 1
O2 0.132 0.648 0.102 1
O3 0.140 0.107 0.608 1
O4 0.160 0.622 0.628 1
O5 0.358 0.380 0.893 1
O6 0.364 0.859 0.397 1
O7 0.387 0.830 0.871 1
O8 0.407 0.346 0.384 1
```

***

DFT (r²SCAN) results for a relaxed TiMnCr crystal.

**Mass density**: 6.2 g cm⁻³
**DFT formation energy**: -0.05 eV/atom
**V**: 13.8 A^3/atom
**Magnetization**: 11.1 Bohr magnetons per cell

CIF file:
```
data_TiMnCr
_chemical_formula_sum 'Ti8 Mn8 Cr8'
_cell_length_a 7.532
_cell_length_b 5.002
_cell_length_c 8.790
_cell_angle_alpha 90.00
_cell_angle_beta 90.00
_cell_angle_gamma 90.00
_space_group_name_H-M_alt 'A m m 2'
_space_group_IT_number 38
_space_group_name_Hall 'A 2 -2'
loop_
_atom_site_label
_atom_site_fract_x
_atom_site_fract_y
_atom_site_fract_z
_atom_site_occupancy
Ti1 0.188 0.000 0.000 1
Ti2 0.310 0.000 0.333 1
Mn1 0.000 0.000 0.496 1
Mn2 0.000 0.245 0.251 1
Mn3 0.500 0.000 0.835 1
Cr1 0.253 0.000 0.666 1
Cr2 0.500 0.241 0.081 1
```